## A
VASP calculation (GGA-PBE) on a relaxed Ba3La3Cu6O14 crystal.

The structure in POSCAR format:
```
Ba3La3Cu6O14
1.0
5.661 0.000 0.000
0.000 5.743 0.000
0.000 0.000 11.063
Ba La Cu O
3 3 6 14
direct
0.000 0.000 0.000
0.500 0.500 0.331
0.500 0.500 0.669
0.000 0.000 0.338
0.000 0.000 0.662
0.500 0.500 0.000
0.000 0.500 0.149
0.000 0.500 0.500
0.000 0.500 0.851
0.500 0.000 0.159
0.500 0.000 0.500
0.500 0.000 0.841
0.216 0.245 0.500
0.216 0.755 0.500
0.247 0.267 0.154
0.247 0.267 0.846
0.247 0.733 0.154
0.247 0.733 0.846
0.500 0.000 0.333
0.500 0.000 0.667
0.753 0.267 0.154
0.753 0.267 0.846
0.753 0.733 0.154
0.753 0.733 0.846
0.784 0.245 0.500
0.784 0.755 0.500
```

The symmetry is Pmmm, No. 47.

## B
VASP calculation (GGA-PBE) on a relaxed Ba3La3Cu6O14 crystal.

The structure in POSCAR format:
```
Ba3La3Cu6O14
1.0
0.000 3.981 11.796
3.883 0.000 11.796
3.883 3.981 0.000
Ba La Cu O
3 3 6 14
direct
0.000 0.000 0.000
0.182 0.182 0.818
0.679 0.679 0.321
0.341 0.341 0.659
0.499 0.499 0.501
0.842 0.842 0.158
0.088 0.088 0.412
0.265 0.265 0.235
0.417 0.417 0.083
0.588 0.588 0.912
0.765 0.765 0.735
0.917 0.917 0.583
0.009 0.009 0.491
0.025 0.526 0.975
0.026 0.529 0.471
0.165 0.657 0.835
0.168 0.168 0.332
0.168 0.654 0.346
0.369 0.793 0.631
0.509 0.509 0.991
0.526 0.025 0.474
0.529 0.026 0.974
0.654 0.168 0.832
0.657 0.165 0.343
0.668 0.668 0.832
0.793 0.369 0.207
```

The symmetry is Fmm2, No. 42.

Tell me which of them is the least stable. Sure, it is A.

## A
VASP calculation (GGA-PBE) on a relaxed BaMg6Cu crystal.

The structure in POSCAR format:
```
BaMg6Cu
1.0
4.882 0.000 0.000
0.000 3.107 6.918
0.000 -3.107 6.918
Ba Mg Cu
1 6 1
direct
0.000 0.000 0.000
0.000 0.415 0.415
0.000 0.467 0.963
0.000 0.963 0.467
0.500 0.087 0.591
0.500 0.591 0.087
0.500 0.593 0.593
0.500 0.178 0.178
```

The symmetry is Amm2, No. 38.

## B
VASP calculation (GGA-PBE) on a relaxed BaMg6Cu crystal.

The structure in POSCAR format:
```
BaMg6Cu
1.0
-0.856 -4.648 -1.600
4.454 -2.058 3.596
-9.240 -1.869 10.376
Mg Ba Cu
12 2 2
direct
0.500 0.243 0.442
0.000 0.759 0.074
0.500 0.257 0.942
0.000 0.741 0.574
0.500 0.743 0.942
0.000 0.500 0.374
0.000 0.500 0.790
0.500 0.757 0.442
0.000 0.241 0.074
0.000 0.000 0.874
0.000 0.259 0.574
0.000 0.000 0.290
0.500 0.000 0.707
0.500 0.500 0.207
0.500 0.500 0.598
0.500 0.000 0.098
```

Tell me which of them is the least stable. Sure, it is A.

## A
VASP calculation (GGA-PBE) on a relaxed Ba2NdMgCu3O7 crystal.

The structure in POSCAR format:
```
Ba2NdMgCu3O7
1.0
3.778 0.000 0.000
0.000 3.988 0.000
0.000 0.000 14.550
Ba Nd Mg Cu O
2 1 1 3 7
direct
0.000 0.000 0.000
0.000 0.000 0.306
0.000 0.000 0.740
0.000 0.500 0.494
0.500 0.500 0.156
0.500 0.500 0.633
0.500 0.500 0.862
0.000 0.500 0.627
0.000 0.500 0.837
0.500 0.000 0.193
0.500 0.000 0.639
0.500 0.000 0.852
0.500 0.500 0.023
0.500 0.500 0.427
```

The symmetry is Pmm2, No. 25.

## B
VASP calculation (GGA-PBE) on a relaxed Ba2NdMgCu3O7 crystal.

The structure in POSCAR format:
```
Ba2NdMgCu3O7
1.0
3.746 0.000 0.000
0.000 4.002 0.000
0.000 0.000 14.040
Ba Nd Mg Cu O
2 1 1 3 7
direct
0.000 0.000 0.000
0.000 0.000 0.467
0.000 0.000 0.739
0.000 0.500 0.188
0.500 0.500 0.320
0.500 0.500 0.615
0.500 0.500 0.860
0.000 0.500 0.646
0.000 0.500 0.868
0.500 0.000 0.287
0.500 0.000 0.631
0.500 0.000 0.860
0.500 0.500 0.106
0.500 0.500 0.457
```

The symmetry is Pmm2, No. 25.

Tell me which of them is the least stable. Sure, it is B.

## A
VASP calculation (GGA-PBE) on a relaxed Ba4MgCu4O8 crystal.

The structure in POSCAR format:
```
Ba4MgCu4O8
1.0
3.485 0.000 0.000
-0.001 6.113 0.000
-0.014 -1.648 14.181
Ba Mg Cu O
4 1 4 8
direct
0.000 0.000 0.130
0.000 0.000 0.870
0.001 0.542 0.312
0.999 0.458 0.688
0.000 0.000 0.500
0.499 0.973 0.656
0.500 0.485 0.914
0.500 0.515 0.086
0.501 0.027 0.344
0.499 0.176 0.569
0.500 0.222 0.258
0.500 0.257 0.006
0.500 0.290 0.806
0.500 0.710 0.194
0.500 0.743 0.994
0.500 0.778 0.742
0.501 0.824 0.431
```

The symmetry is P-1, No. 2.

## B
VASP calculation (GGA-PBE) on a relaxed Ba4MgCu4O8 crystal.

The structure in POSCAR format:
```
Ba4MgCu4O8
1.0
5.963 0.000 0.000
0.000 3.541 0.000
-0.097 0.000 12.539
Ba Mg Cu O
4 1 4 8
direct
0.006 0.000 0.149
0.491 0.000 0.628
0.509 0.000 0.372
0.994 0.000 0.851
0.500 0.000 0.000
0.004 0.500 0.385
0.495 0.500 0.844
0.505 0.500 0.156
0.996 0.500 0.615
0.228 0.500 0.501
0.235 0.500 0.739
0.250 0.500 0.261
0.281 0.500 0.001
0.719 0.500 0.999
0.750 0.500 0.739
0.765 0.500 0.261
0.772 0.500 0.499
```

The symmetry is P2/m, No. 10.

Tell me which of them is the least stable. Sure, it is B.

## A
VASP calculation (GGA-PBE) on a relaxed Ba4MgCu4O8 crystal.

The structure in POSCAR format:
```
Ba4MgCu4O8
1.0
3.907 0.000 0.000
1.031 6.142 0.000
0.360 1.602 15.174
Ba Mg Cu O
4 1 4 8
direct
0.000 0.000 0.000
0.080 0.864 0.625
0.190 0.599 0.398
0.890 0.265 0.227
0.539 0.932 0.813
0.517 0.017 0.429
0.538 0.502 0.886
0.539 0.362 0.739
0.563 0.847 0.196
0.384 0.225 0.342
0.455 0.086 0.117
0.529 0.649 0.756
0.536 0.097 0.695
0.543 0.766 0.930
0.547 0.214 0.869
0.626 0.778 0.508
0.697 0.639 0.283
```

The symmetry is P1, No. 1.

## B
VASP calculation (GGA-PBE) on a relaxed Ba4MgCu4O8 crystal.

The structure in POSCAR format:
```
Ba4MgCu4O8
1.0
5.960 0.000 0.000
0.000 3.542 0.000
-0.096 0.000 12.535
Ba Mg Cu O
4 1 4 8
direct
0.006 0.000 0.149
0.492 0.000 0.628
0.508 0.000 0.372
0.994 0.000 0.851
0.500 0.000 0.000
0.004 0.500 0.385
0.495 0.500 0.844
0.505 0.500 0.156
0.996 0.500 0.615
0.228 0.500 0.500
0.236 0.500 0.739
0.250 0.500 0.261
0.282 0.500 0.001
0.718 0.500 0.999
0.750 0.500 0.739
0.764 0.500 0.261
0.772 0.500 0.500
```

The symmetry is P2/m, No. 10.

Tell me which of them is the least stable. Sure, it is B.

## A
VASP calculation (GGA-PBE) on a relaxed BaMg6CuO8 crystal.

The structure in POSCAR format:
```
BaMg6CuO8
1.0
4.515 0.000 0.000
0.000 4.515 0.000
0.000 0.000 9.301
Ba Mg Cu O
1 6 1 8
direct
0.000 0.000 0.000
0.000 0.000 0.500
0.000 0.500 0.278
0.000 0.500 0.722
0.500 0.000 0.278
0.500 0.000 0.722
0.500 0.500 0.500
0.500 0.500 0.000
0.000 0.000 0.283
0.000 0.000 0.717
0.000 0.500 0.000
0.000 0.500 0.500
0.500 0.000 0.000
0.500 0.000 0.500
0.500 0.500 0.275
0.500 0.500 0.725
```

The symmetry is P4/mmm, No. 123.

## B
VASP calculation (GGA-PBE) on a relaxed BaMg6CuO8 crystal.

The structure in POSCAR format:
```
BaMg6CuO8
1.0
4.711 0.000 0.000
0.000 4.711 0.000
0.000 0.000 8.609
Ba Mg Cu O
1 6 1 8
direct
0.000 0.000 0.000
0.000 0.500 0.267
0.000 0.500 0.733
0.500 0.000 0.267
0.500 0.000 0.733
0.500 0.500 0.000
0.500 0.500 0.500
0.000 0.000 0.500
0.000 0.000 0.285
0.000 0.000 0.715
0.000 0.500 0.000
0.000 0.500 0.500
0.500 0.000 0.000
0.500 0.000 0.500
0.500 0.500 0.251
0.500 0.500 0.749
```

The symmetry is P4/mmm, No. 123.

Tell me which of them is the least stable. Sure, it is B.

## A
VASP calculation (GGA-PBE) on a relaxed Ba2MgCuO3 crystal.

The structure in POSCAR format:
```
Ba2MgCuO3
1.0
10.169 -1.929 0.000
10.169 1.929 0.000
-0.737 0.000 3.816
Ba Mg Cu O
2 1 1 3
direct
0.000 0.000 0.000
0.641 0.641 0.640
0.820 0.820 0.529
0.320 0.320 0.043
0.127 0.127 0.121
0.320 0.320 0.546
0.513 0.513 0.508
```

The symmetry is Cm, No. 8.

## B
VASP calculation (GGA-PBE) on a relaxed Ba2MgCuO3 crystal.

The structure in POSCAR format:
```
Ba2MgCuO3
1.0
-1.783 1.862 9.394
1.783 -1.862 9.394
1.783 1.862 -9.394
Ba Mg Cu O
2 1 1 3
direct
0.000 0.000 0.000
0.222 0.222 0.000
0.362 0.862 0.500
0.611 0.611 0.000
0.112 0.612 0.500
0.421 0.421 0.000
0.802 0.802 0.000
```

The symmetry is Imm2, No. 44.

Tell me which of them is the least stable. Sure, it is A.

## A
VASP calculation (GGA-PBE) on a relaxed Ba2PrMgCu4O8 crystal.

The structure in POSCAR format:
```
Ba2PrMgCu4O8
1.0
4.060 0.000 0.000
0.000 3.881 0.000
-0.153 0.000 15.130
Ba Pr Mg Cu O
2 1 1 4 8
direct
0.000 0.000 0.000
0.475 0.000 0.622
0.466 0.000 0.374
0.557 0.500 0.144
0.486 0.500 0.886
0.955 0.500 0.268
0.968 0.500 0.482
0.981 0.500 0.753
0.430 0.500 0.273
0.468 0.500 0.474
0.481 0.500 0.762
0.485 0.500 0.015
0.768 0.000 0.162
0.968 0.000 0.453
0.976 0.500 0.630
0.984 0.500 0.877
```

The symmetry is Pm, No. 6.

## B
VASP calculation (GGA-PBE) on a relaxed Ba2PrMgCu4O8 crystal.

The structure in POSCAR format:
```
Ba2PrMgCu4O8
1.0
4.047 0.000 0.000
0.000 3.774 0.000
-1.797 0.000 14.915
Ba Pr Mg Cu O
2 1 1 4 8
direct
0.115 0.000 0.251
0.885 0.000 0.749
0.000 0.000 0.000
0.000 0.000 0.500
0.339 0.500 0.588
0.447 0.500 0.884
0.553 0.500 0.116
0.661 0.500 0.412
0.050 0.500 0.108
0.208 0.500 0.449
0.372 0.500 0.712
0.453 0.000 0.897
0.547 0.000 0.103
0.628 0.500 0.288
0.792 0.500 0.551
0.950 0.500 0.892
```

The symmetry is P2/m, No. 10.

Tell me which of them is the least stable. Sure, it is B.

## A
VASP calculation (GGA-PBE) on a relaxed Ba2PrMgCu3O7 crystal.

The structure in POSCAR format:
```
Ba2PrMgCu3O7
1.0
3.754 0.000 0.000
0.000 4.015 0.000
0.000 0.000 14.125
Ba Pr Mg Cu O
2 1 1 3 7
direct
0.000 0.000 0.000
0.000 0.000 0.466
0.000 0.000 0.739
0.000 0.500 0.187
0.500 0.500 0.320
0.500 0.500 0.613
0.500 0.500 0.862
0.000 0.500 0.645
0.000 0.500 0.870
0.500 0.000 0.287
0.500 0.000 0.629
0.500 0.000 0.861
0.500 0.500 0.107
0.500 0.500 0.457
```

The symmetry is Pmm2, No. 25.

## B
VASP calculation (GGA-PBE) on a relaxed Ba2PrMgCu3O7 crystal.

The structure in POSCAR format:
```
Ba2PrMgCu3O7
1.0
3.770 0.000 0.000
0.000 4.027 0.000
0.000 0.000 14.653
Ba Pr Mg Cu O
2 1 1 3 7
direct
0.000 0.000 0.000
0.000 0.000 0.310
0.000 0.000 0.742
0.000 0.500 0.496
0.500 0.500 0.160
0.500 0.500 0.634
0.500 0.500 0.865
0.000 0.500 0.207
0.000 0.500 0.628
0.000 0.500 0.838
0.500 0.000 0.640
0.500 0.000 0.856
0.500 0.500 0.028
0.500 0.500 0.430
```

The symmetry is Pmm2, No. 25.

Tell me which of them is the least stable. Sure, it is A.